Entry 1:
Density functional theory data (r²SCAN) for HfUC2 after structural relaxation.

Calculated values
Its calculated formation energy is -0.693 eV per atom.

Lattice parameters (Å, degrees): 3.3510 3.3510 16.9089 90.00 90.00 120.00
Last column: nearest neighbours and their distance in Å.
Space group R-3m (No. 166, hexagonal axes)
Inequivalent atoms, fractional coordinates:
Hf (0.0000, 0.0000, 0.0000) [3 per cell]  6 C 2.36
U (0.0000, 0.0000, 0.5000) [3 per cell]  6 C 2.43
C (0.0000, 0.0000, 0.2534) [6 per cell]  3 Hf 2.36, 3 U 2.43

Entry 2:
Density functional theory data (r²SCAN) for VB after structural relaxation.

Calculated values
Its calculated formation energy is -0.900 eV per atom.

Lattice parameters (Å, degrees): 3.0347 8.0138 2.9595 90.00 90.00 90.00
Last column: nearest neighbours and their distance in Å.
Space group Cmcm (No. 63)
Inequivalent atoms, fractional coordinates:
V (0.0000, 0.1479, 0.2500) [4 per cell]  7 B 2.23-2.32
B (0.0000, 0.4373, 0.2500) [4 per cell]  2 B 1.79

Entry 3:
Density functional theory data (r²SCAN) for Nb5B6 after structural relaxation.

Calculated values
Its calculated formation energy is -0.798 eV per atom.

Lattice parameters (Å, degrees): 3.1667 22.8910 3.3169 90.00 90.00 90.00
Last column: nearest neighbours and their distance in Å.
Space group Cmmm (No. 65)
Inequivalent atoms, fractional coordinates:
Nb (0.0000, 0.0000, 0.0000) [2 per cell]  12 B 2.47-2.50
Nb (0.0000, 0.1943, 0.5000) [4 per cell]  7 B 2.42-2.58
Nb (0.0000, 0.3858, 0.0000) [4 per cell]  7 B 2.38-2.59
B (0.0000, 0.0816, 0.5000) [4 per cell]  2 B 1.85
B (0.0000, 0.2725, 0.0000) [4 per cell]  2 B 1.89
B (0.0000, 0.4604, 0.5000) [4 per cell]  3 B 1.81-1.85

Entry 4:
Density functional theory data (r²SCAN) for ErAu after structural relaxation.

Calculated values
Its calculated formation energy is -0.996 eV per atom.

Lattice parameters (Å, degrees): 3.6811 10.7951 4.6036 90.00 90.00 90.00
Last column: nearest neighbours and their distance in Å.
Space group Cmcm (No. 63)
Inequivalent atoms, fractional coordinates:
Er (0.0000, 0.1389, 0.2500) [4 per cell]  7 Au 2.94-3.07
Au (0.0000, 0.4113, 0.2500) [4 per cell]  7 Er 2.94-3.07, 2 Au 2.99

Entry 5:
Density functional theory data (r²SCAN) for Na5InS4 after structural relaxation.

Calculated values
Its calculated formation energy is -1.221 eV per atom.

Lattice parameters (Å, degrees): 6.7616 8.7525 7.8122 90.00 91.03 90.00
Last column: nearest neighbours and their distance in Å.
Space group P2_1/m (No. 11)
Inequivalent atoms, fractional coordinates:
Na (0.0000, 0.0000, 0.0000) [2 per cell]  6 S 2.87-3.16
Na (0.0253, 0.2500, 0.4714) [2 per cell]  5 S 2.85-3.14
Na (0.3310, 0.2500, 0.8391) [2 per cell]  4 S 2.69-2.91
Na (0.3436, 0.5204, 0.3348) [4 per cell]  4 S 2.70-2.88
In (0.3607, 0.7500, 0.8239) [2 per cell]  4 S 2.47-2.50
S (0.2333, 0.5184, 0.6717) [4 per cell]  1 In 2.50, 2 Na 2.75-2.76
S (0.2402, 0.7500, 0.1209) [2 per cell]  1 In 2.47, 2 Na 2.70
S (0.2712, 0.2500, 0.1785) [2 per cell]  1 In 2.49, 3 Na 2.69-2.70

Entry 6:
Density functional theory data (r²SCAN) for SmNiSn after structural relaxation.

Calculated values
Its calculated formation energy is -0.662 eV per atom.

Lattice parameters (Å, degrees): 7.3315 7.3315 3.9862 90.00 90.00 120.00
Last column: nearest neighbours and their distance in Å.
Space group P-62m (No. 189)
Inequivalent atoms, fractional coordinates:
Sm (0.0000, 0.5893, 0.0000) [3 per cell]  5 Ni 2.98-3.01, 6 Sn 3.18-3.30
Ni (0.0000, 0.0000, 0.0000) [1 per cell]  6 Sn 2.72, 3 Sm 3.01
Ni (0.3333, 0.6667, 0.5000) [2 per cell]  3 Sn 2.79, 6 Sm 2.98
Sn (0.0000, 0.2518, 0.5000) [3 per cell]  4 Ni 2.72-2.79

Entry 7:
Density functional theory data (r²SCAN) for TiAs2O7 after structural relaxation.

Calculated values
Its calculated formation energy is -1.890 eV per atom. The calculation puts the energy above the most stable polymorph in this dataset at 0.0000 eV per atom.

Lattice parameters (Å, degrees): 5.1227 12.9407 9.6108 90.00 120.97 90.00
Last column: nearest neighbours and their distance in Å.
Space group P2_1/c (No. 14)
Inequivalent atoms, fractional coordinates:
Ti (0.1412, 0.1545, 0.3459) [4 per cell]  6 O 1.92-1.98
As (0.2664, 0.6882, 0.5611) [4 per cell]  4 O 1.67-1.75
As (0.3758, 0.0145, 0.6895) [4 per cell]  4 O 1.67-1.75
O (0.0378, 0.1801, 0.1263) [4 per cell]  1 As 1.67
O (0.1390, 0.5352, 0.2436) [4 per cell]  1 As 1.68
O (0.1857, 0.7423, 0.1815) [4 per cell]  1 As 1.68
O (0.2189, 0.1151, 0.5623) [4 per cell]  1 As 1.68
O (0.3124, 0.5605, 0.6309) [4 per cell]  2 As 1.75
O (0.4080, 0.2232, 0.9273) [4 per cell]  1 As 1.68
O (0.4886, 0.0743, 0.3837) [4 per cell]  1 As 1.67

Entry 8:
Density functional theory data (r²SCAN) for Rb2Hf2O5 after structural relaxation.

Calculated values
Its calculated formation energy is -3.027 eV per atom.

Lattice parameters (Å, degrees): 4.0315 4.0315 9.0140 90.00 90.00 90.00
Last column: nearest neighbours and their distance in Å.
Space group P4/mmm (No. 123)
Inequivalent atoms, fractional coordinates:
Rb (0.0000, 0.0000, 0.0000) [1 per cell]  12 O 2.85-3.12
Rb (0.0000, 0.0000, 0.5000) [1 per cell]  8 O 2.93
Hf (0.5000, 0.5000, 0.2201) [2 per cell]  5 O 1.98-2.05
O (0.0000, 0.5000, 0.2641) [4 per cell]  2 Hf 2.05
O (0.5000, 0.5000, 0.0000) [1 per cell]  2 Hf 1.98

Entry 9:
Density functional theory data (r²SCAN) for CsReCl4 after structural relaxation.

Calculated values
Its calculated formation energy is -1.285 eV per atom.

Lattice parameters (Å, degrees): 10.8027 14.2775 14.1410 90.00 90.00 90.00
Last column: nearest neighbours and their distance in Å.
Space group Ama2 (No. 40)
Inequivalent atoms, fractional coordinates:
Cs (0.0000, 0.0000, 0.0000) [4 per cell]  10 Cl 3.49-3.90
Cs (0.2500, 0.0910, 0.3905) [4 per cell]  5 Cl 3.38-3.75
Cs (0.2500, 0.3205, 0.1219) [4 per cell]  7 Cl 3.42-3.74
Re (0.1366, 0.2821, 0.7293) [8 per cell]  5 Cl 2.32-2.59, 2 Re 2.45
Re (0.2500, 0.1414, 0.7768) [4 per cell]  4 Cl 2.32-2.42, 2 Re 2.45
Cl (0.0257, 0.1422, 0.7772) [8 per cell]  2 Re 2.42-2.43
Cl (0.0727, 0.1345, 0.1989) [8 per cell]  1 Re 2.59
Cl (0.0998, 0.3494, 0.8773) [8 per cell]  1 Re 2.34
Cl (0.1007, 0.2461, 0.5717) [8 per cell]  1 Re 2.32
Cl (0.2500, 0.0615, 0.6338) [4 per cell]  1 Re 2.32
Cl (0.2500, 0.1623, 0.9399) [4 per cell]  1 Re 2.33
Cl (0.2500, 0.4213, 0.6827) [4 per cell]  2 Re 2.43
Cl (0.2500, 0.4689, 0.3363) [4 per cell]  1 Re 2.60

Entry 10:
Density functional theory data (r²SCAN) for SrTl2Pd after structural relaxation.

Calculated values
Its calculated formation energy is -0.478 eV per atom.

Lattice parameters (Å, degrees): 4.4664 11.2531 8.2660 90.00 90.00 90.00
Last column: nearest neighbours and their distance in Å.
Space group Cmcm (No. 63)
Inequivalent atoms, fractional coordinates:
Sr (0.0000, 0.0645, 0.2500) [4 per cell]  3 Pd 3.19-3.31, 4 Tl 3.47
Tl (0.0000, 0.3528, 0.0513) [8 per cell]  3 Pd 2.89-2.91
Pd (0.0000, 0.2188, 0.7500) [4 per cell]  6 Tl 2.89-2.91, 1 Sr 3.19

Entry 11:
Density functional theory data (r²SCAN) for LaCu4P2 after structural relaxation.

Calculated values
Its calculated formation energy is -0.597 eV per atom.

Lattice parameters (Å, degrees): 11.0518 14.6846 3.9110 90.00 90.00 90.00
Last column: nearest neighbours and their distance in Å.
Space group Pnnm (No. 58)
Inequivalent atoms, fractional coordinates:
La (0.0000, 0.0000, 0.0000) [2 per cell]  6 P 2.98, 10 Cu 3.13-3.32
La (0.1226, 0.2727, 0.0000) [4 per cell]  6 P 2.97-3.07, 10 Cu 3.13-3.31
Cu (0.0705, 0.5614, 0.0000) [4 per cell]  5 Cu 2.38-2.60, 2 P 2.47
Cu (0.0760, 0.8311, 0.5000) [4 per cell]  4 P 2.47-2.50, 1 Cu 2.63
Cu (0.0990, 0.4470, 0.5000) [4 per cell]  2 P 2.40-2.44, 6 Cu 2.57-2.69
Cu (0.1696, 0.7126, 0.0000) [4 per cell]  4 P 2.33-2.58, 1 Cu 2.48
Cu (0.2374, 0.9624, 0.5000) [4 per cell]  3 P 2.41-2.47, 6 Cu 2.57-2.68
Cu (0.2410, 0.5857, 0.5000) [4 per cell]  3 P 2.29-2.41
P (0.0610, 0.6634, 0.5000) [4 per cell]  7 Cu 2.29-2.47
P (0.1376, 0.1130, 0.5000) [4 per cell]  5 Cu 2.41-2.58
P (0.2059, 0.8692, 0.0000) [4 per cell]  6 Cu 2.33-2.49

Entry 12:
Density functional theory data (r²SCAN) for Cd5Au3 after structural relaxation.

Calculated values
Its calculated formation energy is -0.200 eV per atom.

Lattice parameters (Å, degrees): 10.8021 10.8021 5.4623 90.00 90.00 90.00
Last column: nearest neighbours and their distance in Å.
Space group I4/mcm (No. 140)
Inequivalent atoms, fractional coordinates:
Cd (0.0000, 0.5000, 0.2500) [4 per cell]  2 Cd 2.73, 4 Au 2.87
Cd (0.0795, 0.2250, 0.0000) [16 per cell]  6 Au 2.84-3.12, 1 Cd 2.99
Au (0.0000, 0.0000, 0.2500) [4 per cell]  2 Au 2.73, 8 Cd 2.92
Au (0.1650, 0.3350, 0.5000) [8 per cell]  10 Cd 2.84-3.12

| no. | total magnetization (μB/atom) |
| --- | --- |
| 1 | 0.07 |
| 2 | 0.00 |
| 3 | 0.00 |
| 4 | 0.00 |
| 5 | 0.00 |
| 6 | 0.00 |
| 7 | 0.00 |
| 8 | 0.00 |
| 9 | 0.00 |
| 10 | 0.00 |
| 11 | 0.00 |
| 12 | 0.00 |